Entry 1:
This record from the Materials Project database describes a geometry-optimized Ba3Sr9Al4O16F4 structure. The functional is PBE.

Cell lengths 6.952, 6.952, 11.291 Å; angles 90.00, 90.00, 90.00 degrees
Sites, in units of the cell vectors:
Ba 0.000 0.000 0.500
Ba 0.000 0.000 0.000
Ba 0.500 0.500 0.500
Sr 0.669 0.170 0.751
Sr 0.170 0.669 0.249
Sr 0.830 0.331 0.249
Sr 0.331 0.830 0.751
Sr 0.331 0.170 0.249
Sr 0.830 0.669 0.751
Sr 0.669 0.830 0.249
Sr 0.170 0.331 0.751
Sr 0.500 0.500 0.000
Al 0.000 0.500 0.000
Al 0.500 0.000 0.500
Al 0.500 0.000 0.000
Al 0.000 0.500 0.500
O 0.637 0.141 0.103
O 0.138 0.638 0.604
O 0.363 0.859 0.103
O 0.862 0.362 0.604
O 0.859 0.637 0.103
O 0.362 0.138 0.604
O 0.141 0.363 0.103
O 0.638 0.862 0.604
O 0.859 0.363 0.897
O 0.362 0.862 0.396
O 0.141 0.637 0.897
O 0.638 0.138 0.396
O 0.637 0.859 0.897
O 0.138 0.362 0.396
O 0.363 0.141 0.897
O 0.862 0.638 0.396
F 0.000 0.000 0.750
F 0.500 0.500 0.247
F 0.000 0.000 0.250
F 0.500 0.500 0.753

ΔE_f in meV/atom: -3421
ρ in Mg/m³: 4.99
Total energy in eV/atom: -6.475

Entry 2:
This record from the Materials Project database describes a geometry-optimized Ba2AlSn2F11 structure. The functional is PBE.

Cell lengths 7.828, 7.828, 15.500 Å; angles 90.00, 90.00, 120.00 degrees
Sites, in units of the cell vectors:
Ba 0.812 0.852 0.654
Ba 0.481 0.122 0.792
Ba 0.040 0.188 0.987
Ba 0.878 0.359 0.459
Ba 0.641 0.519 0.125
Ba 0.148 0.960 0.321
Al 0.521 0.690 0.872
Al 0.169 0.479 0.205
Al 0.310 0.831 0.538
Sn 0.919 0.669 0.894
Sn 0.072 0.409 0.733
Sn 0.591 0.663 0.400
Sn 0.750 0.081 0.227
Sn 0.337 0.928 0.066
Sn 0.331 0.250 0.560
F 0.011 0.853 0.056
F 0.870 0.289 0.851
F 0.842 0.989 0.389
F 0.499 0.074 0.489
F 0.806 0.838 0.221
F 0.070 0.204 0.188
F 0.926 0.425 0.156
F 0.796 0.866 0.855
F 0.032 0.194 0.554
F 0.710 0.044 0.089
F 0.575 0.501 0.823
F 0.147 0.158 0.722
F 0.602 0.645 0.974
F 0.410 0.216 0.014
F 0.043 0.398 0.308
F 0.711 0.580 0.518
F 0.489 0.887 0.915
F 0.334 0.290 0.422
F 0.239 0.729 0.430
F 0.355 0.957 0.641
F 0.489 0.761 0.763
F 0.784 0.194 0.681
F 0.806 0.590 0.348
F 0.398 0.511 0.248
F 0.956 0.666 0.755
F 0.162 0.968 0.888
F 0.420 0.130 0.185
F 0.267 0.505 0.886
F 0.238 0.733 0.220
F 0.271 0.511 0.096
F 0.134 0.930 0.521
F 0.113 0.602 0.581
F 0.495 0.762 0.553

ΔE_f in meV/atom: -3475
ρ in Mg/m³: 4.53
Total energy in eV/atom: -5.449